No. 1
Computed, not measured: crystalline Li2AgF4 at its relaxed geometry at the GGA-PBE level of DFT.

```
Li2AgF4
1.0
-7.458 4.223 2.557
-2.695 -6.134 -5.925
2.627 -4.661 7.167
F Ag Li
24 6 12
Direct
0.281 0.077 0.385
0.739 0.432 0.054
0.678 0.337 0.333
0.931 0.956 0.287
0.333 0.678 0.337
0.923 0.615 0.719
0.287 0.931 0.956
0.432 0.054 0.739
0.044 0.713 0.069
0.713 0.069 0.044
0.615 0.719 0.923
0.946 0.261 0.568
0.069 0.044 0.713
0.719 0.923 0.615
0.077 0.385 0.281
0.667 0.322 0.663
0.054 0.739 0.432
0.385 0.281 0.077
0.261 0.568 0.946
0.663 0.667 0.322
0.322 0.663 0.667
0.956 0.287 0.931
0.568 0.946 0.261
0.337 0.333 0.678
0.469 0.114 0.183
0.114 0.183 0.469
0.817 0.531 0.886
0.886 0.817 0.531
0.183 0.469 0.114
0.531 0.886 0.817
0.811 0.389 0.550
0.901 0.146 0.714
0.286 0.099 0.854
0.714 0.901 0.146
0.146 0.714 0.901
0.450 0.189 0.611
0.550 0.811 0.389
0.611 0.450 0.189
0.389 0.550 0.811
0.099 0.854 0.286
0.854 0.286 0.099
0.189 0.611 0.450
```

Computed properties:
excess energy over the best structure of this formula in the dataset	1.80	kJ/mol of atoms
energy of formation	-2.3714	eV per atom
calculated total energy	-174.36	eV for the cell shown
total moment	0.143	μB/atom

***

No. 2
Computed, not measured: crystalline VAgP2S6 at its relaxed geometry at the GGA-PBE level of DFT.

```
VAgP2S6
1.0
10.820 0.000 0.000
0.000 5.893 0.000
0.000 1.890 7.241
P V S Ag
4 2 12 2
Direct
0.248 0.709 0.154
0.752 0.209 0.154
0.248 0.791 0.846
0.752 0.291 0.846
0.068 0.250 0.000
0.932 0.750 0.000
0.920 0.014 0.209
0.772 0.976 0.787
0.604 0.474 0.741
0.920 0.486 0.791
0.228 0.024 0.213
0.604 0.026 0.259
0.396 0.526 0.259
0.396 0.974 0.741
0.228 0.476 0.787
0.080 0.986 0.791
0.080 0.514 0.209
0.772 0.524 0.213
0.563 0.750 0.000
0.437 0.250 0.000
```

Computed properties:
energy of formation	-0.6807	eV per atom
calculated total energy	-102.70	eV for the cell shown
total moment	0.200	μB/atom

***

Among the records above, which one has the highest calculated total energy?
VAgP2S6

***

The lowest calculated total energy belongs to which entry?
Li2AgF4